Entry 1:
VASP calculation (r²SCAN) on a relaxed Rb2Zn5Sb4 crystal.

Computed properties:
- Space group: Cmcm

Structure (CIF):
```
data_Rb2Zn5Sb4
_chemical_formula_sum 'Rb4 Zn10 Sb8'
_space_group_name_H-M_alt 'P 1'
_space_group_IT_number 1
_cell_length_a 7.289
_cell_length_b 7.289
_cell_length_c 12.482
_cell_angle_alpha 90.00
_cell_angle_beta 90.00
_cell_angle_gamma 117.10
loop_
_space_group_symop_operation_xyz
'x,y,z'
loop_
_atom_site_label
_atom_site_type_symbol
_atom_site_fract_x
_atom_site_fract_y
_atom_site_fract_z
Zn1 Zn 0.658 0.658 0.109
Rb1 Rb 0.776 0.224 0.000
Sb1 Sb 0.723 0.723 0.600
Zn2 Zn 0.342 0.342 0.891
Zn3 Zn 0.536 0.254 0.250
Zn4 Zn 0.254 0.536 0.250
Rb2 Rb 0.224 0.776 0.000
Zn5 Zn 0.746 0.464 0.750
Zn6 Zn 0.342 0.342 0.609
Zn7 Zn 0.464 0.746 0.750
Sb2 Sb 0.602 0.919 0.250
Sb3 Sb 0.081 0.398 0.750
Sb4 Sb 0.277 0.277 0.400
Sb5 Sb 0.398 0.081 0.750
Sb6 Sb 0.919 0.602 0.250
Zn8 Zn 0.658 0.658 0.391
Sb7 Sb 0.723 0.723 0.900
Rb3 Rb 0.776 0.224 0.500
Zn9 Zn 0.007 0.007 0.250
Sb8 Sb 0.277 0.277 0.100
Rb4 Rb 0.224 0.776 0.500
Zn10 Zn 0.993 0.993 0.750
```

---

Entry 2:
VASP calculation (r²SCAN) on a relaxed Sn3Te2Se crystal.

Computed properties:
- Space group: P-3m1

Structure (CIF):
```
data_Sn3Te2Se
_chemical_formula_sum 'Sn3 Te2 Se1'
_space_group_name_H-M_alt 'P 1'
_space_group_IT_number 1
_cell_length_a 4.428
_cell_length_b 4.428
_cell_length_c 10.793
_cell_angle_alpha 90.00
_cell_angle_beta 90.00
_cell_angle_gamma 120.00
loop_
_space_group_symop_operation_xyz
'x,y,z'
loop_
_atom_site_label
_atom_site_type_symbol
_atom_site_fract_x
_atom_site_fract_y
_atom_site_fract_z
Se1 Se 0.000 0.000 0.000
Te1 Te 0.333 0.667 0.674
Sn1 Sn 0.000 0.000 0.500
Sn2 Sn 0.667 0.333 0.848
Sn3 Sn 0.333 0.667 0.152
Te2 Te 0.667 0.333 0.326
```

---

Entry 3:
VASP calculation (r²SCAN) on a relaxed Sc4C3 crystal.

Computed properties:
- Space group: I-43d

Structure (CIF):
```
data_Sc4C3
_chemical_formula_sum 'Sc8 C6'
_space_group_name_H-M_alt 'P 1'
_space_group_IT_number 1
_cell_length_a 6.248
_cell_length_b 6.248
_cell_length_c 6.248
_cell_angle_alpha 109.47
_cell_angle_beta 109.47
_cell_angle_gamma 109.47
loop_
_space_group_symop_operation_xyz
'x,y,z'
loop_
_atom_site_label
_atom_site_type_symbol
_atom_site_fract_x
_atom_site_fract_y
_atom_site_fract_z
C1 C 0.250 0.625 0.375
Sc1 Sc 0.500 0.000 0.901
Sc2 Sc 0.500 0.000 0.401
C2 C 0.125 0.750 0.875
Sc3 Sc 0.401 0.500 0.000
C3 C 0.875 0.125 0.750
Sc4 Sc 0.599 0.599 0.599
Sc5 Sc 0.000 0.901 0.500
C4 C 0.375 0.250 0.625
Sc6 Sc 0.099 0.099 0.099
Sc7 Sc 0.901 0.500 0.000
Sc8 Sc 0.000 0.401 0.500
C5 C 0.750 0.875 0.125
C6 C 0.625 0.375 0.250
```

---

Entry 4:
VASP calculation (r²SCAN) on a relaxed Nb2GaCo3 crystal.

Computed properties:
- Space group: P6_3/mmc

Structure (CIF):
```
data_Nb2GaCo3
_chemical_formula_sum 'Nb4 Ga2 Co6'
_space_group_name_H-M_alt 'P 1'
_space_group_IT_number 1
_cell_length_a 4.842
_cell_length_b 4.842
_cell_length_c 8.154
_cell_angle_alpha 90.00
_cell_angle_beta 90.00
_cell_angle_gamma 120.00
loop_
_space_group_symop_operation_xyz
'x,y,z'
loop_
_atom_site_label
_atom_site_type_symbol
_atom_site_fract_x
_atom_site_fract_y
_atom_site_fract_z
Nb1 Nb 0.333 0.667 0.931
Co1 Co 0.345 0.173 0.750
Co2 Co 0.173 0.345 0.250
Ga1 Ga 0.000 0.000 0.500
Co3 Co 0.827 0.173 0.750
Co4 Co 0.655 0.827 0.250
Nb2 Nb 0.333 0.667 0.569
Co5 Co 0.827 0.655 0.750
Co6 Co 0.173 0.827 0.250
Ga2 Ga 0.000 0.000 0.000
Nb3 Nb 0.667 0.333 0.431
Nb4 Nb 0.667 0.333 0.069
```

---

Entry 5:
VASP calculation (r²SCAN) on a relaxed LiAuF4 crystal.

Computed properties:
- Space group: P2/c

Structure (CIF):
```
data_LiAuF4
_chemical_formula_sum 'Li4 Au4 F16'
_space_group_name_H-M_alt 'P 1'
_space_group_IT_number 1
_cell_length_a 6.337
_cell_length_b 4.821
_cell_length_c 9.922
_cell_angle_alpha 86.73
_cell_angle_beta 90.00
_cell_angle_gamma 90.00
loop_
_space_group_symop_operation_xyz
'x,y,z'
loop_
_atom_site_label
_atom_site_type_symbol
_atom_site_fract_x
_atom_site_fract_y
_atom_site_fract_z
F1 F 0.649 0.180 0.642
F2 F 0.154 0.680 0.140
Li1 Li 0.902 0.000 0.750
Li2 Li 0.409 0.500 0.250
F3 F 0.596 0.699 0.124
Au1 Au 0.000 0.500 0.500
Au2 Au 0.000 0.500 0.000
F4 F 0.404 0.301 0.876
F5 F 0.351 0.820 0.358
F6 F 0.154 0.320 0.360
F7 F 0.091 0.198 0.625
Au3 Au 0.500 0.000 0.000
Li3 Li 0.591 0.500 0.750
F8 F 0.091 0.802 0.875
F9 F 0.909 0.198 0.125
F10 F 0.846 0.680 0.640
Au4 Au 0.500 0.000 0.500
F11 F 0.846 0.320 0.860
F12 F 0.404 0.699 0.624
F13 F 0.351 0.180 0.142
F14 F 0.596 0.301 0.376
Li4 Li 0.098 0.000 0.250
F15 F 0.649 0.820 0.858
F16 F 0.909 0.802 0.375
```

---

Entry 6:
VASP calculation (r²SCAN) on a relaxed TmCu3S3 crystal.

Computed properties:
- Space group: R-3

Structure (CIF):
```
data_TmCu3S3
_chemical_formula_sum 'Tm2 Cu6 S6'
_space_group_name_H-M_alt 'P 1'
_space_group_IT_number 1
_cell_length_a 7.356
_cell_length_b 7.356
_cell_length_c 7.356
_cell_angle_alpha 53.49
_cell_angle_beta 53.49
_cell_angle_gamma 53.49
loop_
_space_group_symop_operation_xyz
'x,y,z'
loop_
_atom_site_label
_atom_site_type_symbol
_atom_site_fract_x
_atom_site_fract_y
_atom_site_fract_z
Cu1 Cu 0.376 0.715 0.039
Cu2 Cu 0.624 0.285 0.961
S1 S 0.418 0.083 0.751
Cu3 Cu 0.285 0.961 0.624
Cu4 Cu 0.715 0.039 0.376
S2 S 0.249 0.582 0.917
S3 S 0.751 0.418 0.083
Cu5 Cu 0.039 0.376 0.715
S4 S 0.582 0.917 0.249
S5 S 0.917 0.249 0.582
S6 S 0.083 0.751 0.418
Tm1 Tm 0.834 0.834 0.834
Tm2 Tm 0.166 0.166 0.166
Cu6 Cu 0.961 0.624 0.285
```

---

Entry 7:
VASP calculation (r²SCAN) on a relaxed Ho5Co19P12 crystal.

Computed properties:
- Space group: P-62m

Structure (CIF):
```
data_Ho5Co19P12
_chemical_formula_sum 'Ho5 Co19 P12'
_space_group_name_H-M_alt 'P 1'
_space_group_IT_number 1
_cell_length_a 11.862
_cell_length_b 11.862
_cell_length_c 3.660
_cell_angle_alpha 90.00
_cell_angle_beta 90.00
_cell_angle_gamma 120.00
loop_
_space_group_symop_operation_xyz
'x,y,z'
loop_
_atom_site_label
_atom_site_type_symbol
_atom_site_fract_x
_atom_site_fract_y
_atom_site_fract_z
P1 P 0.520 0.833 0.500
Co1 Co 0.000 0.715 0.500
Ho1 Ho 0.333 0.667 0.000
Co2 Co 0.554 0.000 0.000
Co3 Co 0.125 0.484 0.500
Co4 Co 0.000 0.000 0.000
P2 P 0.632 0.632 0.000
P3 P 0.833 0.520 0.500
Co5 Co 0.800 0.177 0.000
Co6 Co 0.823 0.622 0.000
Co7 Co 0.446 0.446 0.000
Co8 Co 0.200 0.378 0.000
Co9 Co 0.177 0.800 0.000
Co10 Co 0.000 0.554 0.000
P4 P 0.000 0.368 0.000
Co11 Co 0.484 0.125 0.500
P5 P 0.167 0.687 0.500
Ho2 Ho 0.188 0.000 0.500
Co12 Co 0.641 0.516 0.500
Co13 Co 0.715 0.000 0.500
P6 P 0.687 0.167 0.500
P7 P 0.313 0.480 0.500
P8 P 0.180 0.180 0.000
Ho3 Ho 0.667 0.333 0.000
Co14 Co 0.359 0.875 0.500
Co15 Co 0.285 0.285 0.500
P9 P 0.820 0.000 0.000
Co16 Co 0.622 0.823 0.000
P10 P 0.480 0.313 0.500
Co17 Co 0.378 0.200 0.000
Ho4 Ho 0.000 0.188 0.500
P11 P 0.368 0.000 0.000
Co18 Co 0.516 0.641 0.500
P12 P 0.000 0.820 0.000
Ho5 Ho 0.812 0.812 0.500
Co19 Co 0.875 0.359 0.500
```

---

Entry 8:
VASP calculation (r²SCAN) on a relaxed LiNdS2 crystal.

Computed properties:
- Space group: R-3m

Structure (CIF):
```
data_LiNdS2
_chemical_formula_sum 'Li1 Nd1 S2'
_space_group_name_H-M_alt 'P 1'
_space_group_IT_number 1
_cell_length_a 4.058
_cell_length_b 4.057
_cell_length_c 6.620
_cell_angle_alpha 72.12
_cell_angle_beta 90.00
_cell_angle_gamma 120.01
loop_
_space_group_symop_operation_xyz
'x,y,z'
loop_
_atom_site_label
_atom_site_type_symbol
_atom_site_fract_x
_atom_site_fract_y
_atom_site_fract_z
Li1 Li 0.000 0.000 0.000
S1 S 0.748 0.495 0.757
S2 S 0.252 0.505 0.243
Nd1 Nd 0.500 0.000 0.500
```

---

Entry 9:
VASP calculation (r²SCAN) on a relaxed CuSe3Br crystal.

Computed properties:
- Space group: Pmna

Structure (CIF):
```
data_CuSe3Br
_chemical_formula_sum 'Cu4 Se12 Br4'
_space_group_name_H-M_alt 'P 1'
_space_group_IT_number 1
_cell_length_a 4.807
_cell_length_b 7.586
_cell_length_c 14.372
_cell_angle_alpha 90.00
_cell_angle_beta 90.00
_cell_angle_gamma 90.00
loop_
_space_group_symop_operation_xyz
'x,y,z'
loop_
_atom_site_label
_atom_site_type_symbol
_atom_site_fract_x
_atom_site_fract_y
_atom_site_fract_z
Cu1 Cu 0.792 0.750 0.250
Se1 Se 0.078 0.653 0.874
Cu2 Cu 0.792 0.750 0.750
Se2 Se 0.922 0.153 0.626
Se3 Se 0.922 0.347 0.874
Se4 Se 0.185 0.237 0.000
Se5 Se 0.185 0.263 0.500
Se6 Se 0.922 0.347 0.126
Br1 Br 0.500 0.500 0.309
Br2 Br 0.500 0.500 0.691
Br3 Br 0.500 0.000 0.191
Se7 Se 0.922 0.153 0.374
Se8 Se 0.815 0.763 0.000
Se9 Se 0.815 0.737 0.500
Cu3 Cu 0.208 0.250 0.250
Se10 Se 0.078 0.847 0.626
Br4 Br 0.500 0.000 0.809
Se11 Se 0.078 0.847 0.374
Se12 Se 0.078 0.653 0.126
Cu4 Cu 0.208 0.250 0.750
```

---

Entry 10:
VASP calculation (r²SCAN) on a relaxed Th7Ir3 crystal.

Computed properties:
- Space group: P6_3mc

Structure (CIF):
```
data_Th7Ir3
_chemical_formula_sum 'Th14 Ir6'
_space_group_name_H-M_alt 'P 1'
_space_group_IT_number 1
_cell_length_a 10.066
_cell_length_b 10.066
_cell_length_c 6.331
_cell_angle_alpha 90.00
_cell_angle_beta 90.00
_cell_angle_gamma 120.00
loop_
_space_group_symop_operation_xyz
'x,y,z'
loop_
_atom_site_label
_atom_site_type_symbol
_atom_site_fract_x
_atom_site_fract_y
_atom_site_fract_z
Th1 Th 0.128 0.872 0.999
Ir1 Ir 0.187 0.813 0.552
Th2 Th 0.872 0.128 0.499
Th3 Th 0.744 0.872 0.999
Th4 Th 0.542 0.458 0.795
Ir2 Ir 0.813 0.187 0.052
Th5 Th 0.458 0.542 0.295
Th6 Th 0.872 0.744 0.499
Th7 Th 0.667 0.333 0.304
Th8 Th 0.128 0.256 0.999
Th9 Th 0.084 0.542 0.295
Ir3 Ir 0.626 0.813 0.552
Th10 Th 0.542 0.084 0.795
Ir4 Ir 0.374 0.187 0.052
Th11 Th 0.916 0.458 0.795
Th12 Th 0.256 0.128 0.499
Ir5 Ir 0.813 0.626 0.052
Ir6 Ir 0.187 0.374 0.552
Th13 Th 0.333 0.667 0.804
Th14 Th 0.458 0.916 0.295
```

---

no.,DFT formation energy (kJ/mol of formula units),energy (eV per atom)
1,-320.3,-16.23
2,-177.6,-23.54
3,-421.4,-11.40
4,-122.1,-16.98
5,-1096.1,-12.81
6,-676.3,-14.11
7,-2955.4,-15.40
8,-785.6,-14.00
9,-91.1,-13.60
10,-703.1,-67.87